No. 1
A relaxed Nb10C7 crystal. Source: Materials Project, functional GGA-PBE.

Results
* formation energy: -477 meV per atom

a = 8.348 Å, b = 8.348 Å, c = 5.517 Å
α = 83.61°, β = 83.61°, γ = 141.51°
Fractional positions:
Nb (0.852, 0.647, 0.759)
Nb (0.264, 0.264, 0.764)
C (0.500, 0.500, 0.000)
Nb (0.048, 0.439, 0.732)
Nb (0.647, 0.852, 0.759)
C (0.800, 0.200, 0.500)
Nb (0.353, 0.148, 0.241)
C (0.101, 0.899, 0.000)
C (0.200, 0.800, 0.500)
C (0.899, 0.101, 0.000)
C (0.399, 0.601, 0.500)
Nb (0.148, 0.353, 0.241)
Nb (0.439, 0.048, 0.732)
C (0.601, 0.399, 0.500)
Nb (0.561, 0.952, 0.268)
Nb (0.736, 0.736, 0.236)
Nb (0.952, 0.561, 0.268)

---

No. 2
A relaxed NbC crystal. Source: Materials Project, functional GGA-PBE.

Results
* formation energy: 94 meV per atom
* energy above the most stable polymorph in this dataset: 552 meV/atom

a = 3.437 Å, b = 3.437 Å, c = 3.437 Å
α = 60.00°, β = 60.00°, γ = 60.00°
Fractional positions:
Nb (0.000, 0.000, 0.000)
C (0.250, 0.250, 0.250)

---

No. 3
A relaxed Nb4C3 crystal. Source: Materials Project, functional GGA-PBE.

Results
* formation energy: -474 meV per atom
* energy above the most stable polymorph in this dataset: 0 meV/atom

a = 10.445 Å, b = 10.445 Å, c = 10.445 Å
α = 17.39°, β = 17.39°, γ = 17.39°
Fractional positions:
C (0.000, 0.000, 0.000)
Nb (0.876, 0.876, 0.876)
Nb (0.124, 0.124, 0.124)
C (0.247, 0.247, 0.247)
Nb (0.623, 0.623, 0.623)
C (0.753, 0.753, 0.753)
Nb (0.377, 0.377, 0.377)

---

No. 4
A relaxed NbC crystal. Source: Materials Project, functional GGA-PBE.

Results
* formation energy: 460 meV per atom
* energy above the most stable polymorph in this dataset: 918 meV/atom

a = 2.806 Å, b = 2.806 Å, c = 2.806 Å
α = 90.00°, β = 90.00°, γ = 90.00°
Fractional positions:
Nb (0.000, 0.000, 0.000)
C (0.500, 0.500, 0.500)

---

No. 5
A relaxed NbC crystal. Source: Materials Project, functional GGA-PBE.

Results
* formation energy: -354 meV per atom
* energy above the most stable polymorph in this dataset: 105 meV/atom

a = 3.136 Å, b = 3.136 Å, c = 5.366 Å
α = 90.00°, β = 90.00°, γ = 120.00°
Fractional positions:
C (0.000, 0.000, 0.500)
C (0.000, 0.000, 0.000)
Nb (0.667, 0.333, 0.750)
Nb (0.333, 0.667, 0.250)

---

No. 6
A relaxed Nb39C34 crystal. Source: Materials Project, functional GGA-PBE.

Results
* formation energy: -445 meV per atom

a = 3.182 Å, b = 3.182 Å, c = 100.693 Å
α = 90.00°, β = 90.00°, γ = 120.00°
Fractional positions:
Nb (0.667, 0.333, 0.065)
C (0.000, 0.000, 0.462)
Nb (0.667, 0.333, 0.603)
Nb (0.667, 0.333, 0.987)
Nb (0.667, 0.333, 0.372)
C (0.333, 0.667, 0.821)
C (0.000, 0.000, 0.308)
Nb (0.667, 0.333, 0.756)
Nb (0.667, 0.333, 0.141)
Nb (0.000, 0.000, 0.193)
C (0.333, 0.667, 0.205)
C (0.333, 0.667, 0.744)
Nb (0.333, 0.667, 0.474)
C (0.333, 0.667, 0.667)
C (0.333, 0.667, 0.897)
C (0.667, 0.333, 0.718)
C (0.667, 0.333, 0.026)
C (0.667, 0.333, 0.795)
C (0.667, 0.333, 0.103)
Nb (0.333, 0.667, 0.628)
C (0.000, 0.000, 0.847)
Nb (0.333, 0.667, 0.705)
C (0.333, 0.667, 0.974)
C (0.000, 0.000, 0.538)
Nb (0.667, 0.333, 0.295)
Nb (0.333, 0.667, 0.166)
C (0.333, 0.667, 0.590)
C (0.667, 0.333, 0.641)
Nb (0.667, 0.333, 0.834)
Nb (0.000, 0.000, 0.038)
C (0.333, 0.667, 0.282)
Nb (0.000, 0.000, 0.500)
Nb (0.333, 0.667, 0.397)
Nb (0.667, 0.333, 0.449)
C (0.667, 0.333, 0.564)
Nb (0.000, 0.000, 0.731)
C (0.333, 0.667, 0.359)
Nb (0.333, 0.667, 0.013)
C (0.000, 0.000, 0.692)
C (0.000, 0.000, 0.076)
C (0.667, 0.333, 0.179)
Nb (0.333, 0.667, 0.551)
C (0.000, 0.000, 0.615)
Nb (0.000, 0.000, 0.962)
C (0.000, 0.000, 0.769)
C (0.667, 0.333, 0.487)
Nb (0.000, 0.000, 0.885)
Nb (0.333, 0.667, 0.859)
Nb (0.000, 0.000, 0.577)
C (0.667, 0.333, 0.410)
Nb (0.333, 0.667, 0.090)
C (0.000, 0.000, 0.924)
Nb (0.333, 0.667, 0.782)
Nb (0.333, 0.667, 0.935)
C (0.333, 0.667, 0.436)
C (0.667, 0.333, 0.256)
Nb (0.333, 0.667, 0.244)
C (0.000, 0.000, 0.153)
Nb (0.000, 0.000, 0.423)
Nb (0.000, 0.000, 0.115)
Nb (0.667, 0.333, 0.680)
Nb (0.000, 0.000, 0.654)
C (0.000, 0.000, 0.385)
Nb (0.667, 0.333, 0.910)
Nb (0.667, 0.333, 0.526)
Nb (0.000, 0.000, 0.346)
Nb (0.000, 0.000, 0.807)
Nb (0.333, 0.667, 0.320)
C (0.000, 0.000, 0.231)
C (0.333, 0.667, 0.513)
C (0.667, 0.333, 0.333)
Nb (0.667, 0.333, 0.218)
Nb (0.000, 0.000, 0.269)

---

No. 7
A relaxed NbC crystal. Source: Materials Project, functional GGA-PBE.

Results
* formation energy: -89 meV per atom
* energy above the most stable polymorph in this dataset: 369 meV/atom

a = 3.154 Å, b = 3.154 Å, c = 5.582 Å
α = 90.00°, β = 90.00°, γ = 120.00°
Fractional positions:
C (0.667, 0.333, 0.750)
Nb (0.000, 0.000, 0.500)
Nb (0.000, 0.000, 0.000)
C (0.333, 0.667, 0.250)

---

No. 8
A relaxed NbC crystal. Source: Materials Project, functional GGA-PBE.

Results
* formation energy: -331 meV per atom
* energy above the most stable polymorph in this dataset: 128 meV/atom

a = 3.714 Å, b = 3.714 Å, c = 4.470 Å
α = 90.00°, β = 90.00°, γ = 120.00°
Fractional positions:
Nb (0.667, 0.333, 0.750)
C (0.667, 0.333, 0.250)
Nb (0.333, 0.667, 0.250)
C (0.333, 0.667, 0.750)